[1]
Below is an optimized crystal structure of U2Al3C4, with properties calculated at the PBE level.

Cell lengths 3.3982, 3.3982, 23.3325 Å; angles 90.00, 90.00, 120.00 degrees
Space group P6_3mc (No. 186)
Inequivalent atoms, fractional coordinates:
U 0.3333 0.6667 0.0000 (multiplicity 2)
U 0.3333 0.6667 0.3750 (multiplicity 2)
Al 0.0000 0.0000 0.1004 (multiplicity 2)
Al 0.0000 0.0000 0.2741 (multiplicity 2)
Al 0.3333 0.6667 0.6854 (multiplicity 2)
C 0.0000 0.0000 0.1875 (multiplicity 2)
C 0.0000 0.0000 0.4375 (multiplicity 2)
C 0.3333 0.6667 0.5722 (multiplicity 2)
C 0.3333 0.6667 0.8047 (multiplicity 2)

Total magnetization: 1.2 μB per formula unit

[2]
Below is an optimized crystal structure of UAl3C3, with properties calculated at the PBE level.

Cell lengths 3.3876, 3.3876, 17.4263 Å; angles 90.00, 90.00, 120.00 degrees
Space group P6_3mc (No. 186)
Inequivalent atoms, fractional coordinates:
U 0.0000 0.0000 0.0000 (multiplicity 2)
Al 0.3333 0.6667 0.1342 (multiplicity 2)
Al 0.3333 0.6667 0.3670 (multiplicity 2)
Al 0.3333 0.6667 0.7537 (multiplicity 2)
C 0.3333 0.6667 0.2502 (multiplicity 2)
C 0.3333 0.6667 0.5928 (multiplicity 2)
C 0.3333 0.6667 0.9045 (multiplicity 2)

Total magnetization: 1.1 μB per formula unit

[3]
Below is an optimized crystal structure of Al3V12C8, with properties calculated at the PBE level.

Cell lengths 5.0629, 5.0629, 22.6761 Å; angles 90.00, 90.00, 120.00 degrees
Space group P6_3/mcm (No. 193)
Inequivalent atoms, fractional coordinates:
Al 0.0000 0.3295 0.2500 (multiplicity 6)
V 0.0000 0.0000 0.1528 (multiplicity 4)
V 0.0000 0.3538 0.0547 (multiplicity 12)
V 0.3333 0.6667 0.1562 (multiplicity 8)
C 0.0000 0.3327 0.6066 (multiplicity 12)
C 0.3333 0.6667 0.0000 (multiplicity 4)

[4]
Below is an optimized crystal structure of Y5Al3C4, with properties calculated at the PBE level.

Cell lengths 10.9190, 10.9190, 3.5235 Å; angles 90.00, 90.00, 90.00 degrees
Space group P4/mbm (No. 127)
Inequivalent atoms, fractional coordinates:
Y 0.0000 0.5000 0.0000 (multiplicity 2)
Y 0.0508 0.2295 0.5000 (multiplicity 8)
Al 0.0000 0.0000 0.0000 (multiplicity 2)
Al 0.2038 0.7038 0.0000 (multiplicity 4)
C 0.1329 0.6329 0.5000 (multiplicity 4)
C 0.1624 0.3376 0.0000 (multiplicity 4)

Total magnetization: 0.0 μB per formula unit

no.,energy relative to the elements (meV/atom),V (Å³ per cell)
1,-171,233.3
2,-180,173.2
3,-539,503.4
4,-397,420.1